# 1
! CeCoSb3 | the Materials Project database | PBE-GGA | optimized geometry; values from VASP
! Space-group type: No. 57
! Calculated formation energy (eV/atom): -0.67
! E (MP2020) (eV/atom): -5.759
&SYSTEM
  ibrav = 0, nat = 40, ntyp = 3
/
ATOMIC_SPECIES
Ce 140.12 Ce.upf
Co 58.93 Co.upf
Sb 121.76 Sb.upf
ATOMIC_POSITIONS crystal
Ce 0.198 0.228 0.250
Ce 0.198 0.272 0.750
Ce 0.201 0.750 0.000
Ce 0.201 0.750 0.500
Ce 0.799 0.250 0.000
Ce 0.799 0.250 0.500
Ce 0.802 0.728 0.250
Ce 0.802 0.772 0.750
Co 0.400 0.037 0.636
Co 0.400 0.037 0.864
Co 0.400 0.463 0.136
Co 0.400 0.463 0.364
Co 0.600 0.537 0.636
Co 0.600 0.537 0.864
Co 0.600 0.963 0.136
Co 0.600 0.963 0.364
Sb 0.002 0.012 0.624
Sb 0.002 0.012 0.876
Sb 0.002 0.488 0.124
Sb 0.002 0.488 0.376
Sb 0.276 0.250 0.000
Sb 0.276 0.250 0.500
Sb 0.280 0.733 0.250
Sb 0.280 0.767 0.750
Sb 0.445 0.116 0.250
Sb 0.445 0.384 0.750
Sb 0.472 0.750 0.000
Sb 0.472 0.750 0.500
Sb 0.528 0.250 0.000
Sb 0.528 0.250 0.500
Sb 0.555 0.616 0.250
Sb 0.555 0.884 0.750
Sb 0.720 0.233 0.250
Sb 0.720 0.267 0.750
Sb 0.724 0.750 0.000
Sb 0.724 0.750 0.500
Sb 0.998 0.512 0.624
Sb 0.998 0.512 0.876
Sb 0.998 0.988 0.124
Sb 0.998 0.988 0.376
CELL_PARAMETERS angstrom
12.571 0.000 0.000
0.000 6.190 0.000
0.000 0.000 12.168

***

# 2
! CeCo2Si2 | the Materials Project database | PBE-GGA | optimized geometry; values from VASP
! Space-group type: No. 139
! Calculated formation energy (eV/atom): -0.74
! E (MP2020) (eV/atom): -6.937
&SYSTEM
  ibrav = 0, nat = 5, ntyp = 3
/
ATOMIC_SPECIES
Ce 140.12 Ce.upf
Co 58.93 Co.upf
Si 28.09 Si.upf
ATOMIC_POSITIONS crystal
Ce 0.000 0.000 0.000
Co 0.250 0.750 0.500
Co 0.750 0.250 0.500
Si 0.370 0.370 0.000
Si 0.630 0.630 0.000
CELL_PARAMETERS angstrom
-1.967 1.967 4.908
1.967 -1.967 4.908
1.967 1.967 -4.908

***

# 3
! CeCoSi2 | the Materials Project database | PBE-GGA | optimized geometry; values from VASP
! Space-group type: No. 63
! Calculated formation energy (eV/atom): -0.75
! E (MP2020) (eV/atom): -6.727
&SYSTEM
  ibrav = 0, nat = 8, ntyp = 3
/
ATOMIC_SPECIES
Ce 140.12 Ce.upf
Co 58.93 Co.upf
Si 28.09 Si.upf
ATOMIC_POSITIONS crystal
Ce 0.109 0.891 0.750
Ce 0.891 0.109 0.250
Co 0.322 0.678 0.750
Co 0.678 0.322 0.250
Si 0.250 0.750 0.250
Si 0.459 0.541 0.750
Si 0.541 0.459 0.250
Si 0.750 0.250 0.750
CELL_PARAMETERS angstrom
2.029 -8.243 0.000
2.029 8.243 0.000
0.000 0.000 4.018

***

# 4
! Ce2Co3Si5 | the Materials Project database | PBE-GGA | optimized geometry; values from VASP
! Space-group type: No. 72
! Calculated formation energy (eV/atom): -0.74
! E (MP2020) (eV/atom): -6.770
&SYSTEM
  ibrav = 0, nat = 20, ntyp = 3
/
ATOMIC_SPECIES
Ce 140.12 Ce.upf
Co 58.93 Co.upf
Si 28.09 Si.upf
ATOMIC_POSITIONS crystal
Ce 0.132 0.235 0.367
Ce 0.368 0.735 0.103
Ce 0.632 0.265 0.897
Ce 0.868 0.765 0.633
Co 0.137 0.884 0.020
Co 0.250 0.750 0.500
Co 0.363 0.384 0.747
Co 0.637 0.616 0.253
Co 0.750 0.250 0.500
Co 0.863 0.116 0.980
Si 0.016 0.750 0.266
Si 0.104 0.649 0.753
Si 0.250 0.250 0.000
Si 0.396 0.149 0.545
Si 0.484 0.750 0.734
Si 0.516 0.250 0.266
Si 0.604 0.851 0.455
Si 0.750 0.750 0.000
Si 0.896 0.351 0.247
Si 0.984 0.250 0.734
CELL_PARAMETERS angstrom
-4.827 5.642 2.815
4.827 -5.642 2.815
4.827 5.642 -2.815

***

# 5
! Ce3Co8Si | the Materials Project database | PBE-GGA | optimized geometry; values from VASP
! Space-group type: No. 194
! Calculated formation energy (eV/atom): -0.31
! Energy above the most stable polymorph in this dataset (meV/atom): 0.0
! E (MP2020) (eV/atom): -6.981
&SYSTEM
  ibrav = 0, nat = 24, ntyp = 3
/
ATOMIC_SPECIES
Ce 140.12 Ce.upf
Co 58.93 Co.upf
Si 28.09 Si.upf
ATOMIC_POSITIONS crystal
Ce 0.333 0.667 0.040
Ce 0.333 0.667 0.250
Ce 0.333 0.667 0.460
Ce 0.667 0.333 0.540
Ce 0.667 0.333 0.750
Ce 0.667 0.333 0.960
Co 0.000 0.000 0.000
Co 0.000 0.000 0.500
Co 0.166 0.333 0.630
Co 0.166 0.333 0.870
Co 0.166 0.834 0.630
Co 0.166 0.834 0.870
Co 0.333 0.166 0.130
Co 0.333 0.166 0.370
Co 0.333 0.667 0.750
Co 0.667 0.333 0.250
Co 0.667 0.834 0.630
Co 0.667 0.834 0.870
Co 0.834 0.166 0.130
Co 0.834 0.166 0.370
Co 0.834 0.667 0.130
Co 0.834 0.667 0.370
Si 0.000 0.000 0.250
Si 0.000 0.000 0.750
CELL_PARAMETERS angstrom
4.980 0.000 0.000
-2.490 4.313 0.000
0.000 0.000 15.812

***

# 6
! Ce3Co8Si | the Materials Project database | PBE-GGA | optimized geometry; values from VASP
! Space-group type: No. 194
! Calculated formation energy (eV/atom): -0.28
! Energy above the most stable polymorph in this dataset (meV/atom): 23.5
! E (MP2020) (eV/atom): -6.958
&SYSTEM
  ibrav = 0, nat = 24, ntyp = 3
/
ATOMIC_SPECIES
Ce 140.12 Ce.upf
Co 58.93 Co.upf
Si 28.09 Si.upf
ATOMIC_POSITIONS crystal
Ce 0.333 0.667 0.048
Ce 0.333 0.667 0.250
Ce 0.333 0.667 0.452
Ce 0.667 0.333 0.548
Ce 0.667 0.333 0.750
Ce 0.667 0.333 0.952
Co 0.000 0.000 0.250
Co 0.000 0.000 0.750
Co 0.167 0.334 0.626
Co 0.167 0.334 0.874
Co 0.167 0.833 0.626
Co 0.167 0.833 0.874
Co 0.333 0.667 0.750
Co 0.334 0.167 0.126
Co 0.334 0.167 0.374
Co 0.666 0.833 0.626
Co 0.666 0.833 0.874
Co 0.667 0.333 0.250
Co 0.833 0.167 0.126
Co 0.833 0.167 0.374
Co 0.833 0.666 0.126
Co 0.833 0.666 0.374
Si 0.000 0.000 0.000
Si 0.000 0.000 0.500
CELL_PARAMETERS angstrom
5.055 0.000 0.000
-2.528 4.378 0.000
0.000 0.000 15.402